(1)
Density functional theory data (PBE-GGA) for a relaxed structure of Nb2PbO6.

Computed properties:
The value obtained for the volume is 130 Å³/f.u. The value obtained for the formation enthalpy at 0 K is -2745 meV/atom. The calculation puts the energy above the lowest structure with this stoichiometry at 0 kJ/mol of formula units.

CIF file:
```
data_Nb2PbO6
_cell_length_a 7.315
_cell_length_b 7.315
_cell_length_c 7.315
_cell_angle_alpha 93.64
_cell_angle_beta 93.64
_cell_angle_gamma 93.64
_space_group_name_H-M_alt 'P 1'
_space_group_IT_number 1
loop_
_space_group_symop_operation_xyz
'x,y,z'
loop_
_atom_site_label
_atom_site_type_symbol
_atom_site_fract_x
_atom_site_fract_y
_atom_site_fract_z
Pb1 Pb 0.994 0.994 0.994
Pb2 Pb 0.358 0.358 0.358
Pb3 Pb 0.686 0.686 0.686
O1 O 0.401 0.676 0.956
O2 O 0.053 0.516 0.050
O3 O 0.580 0.292 0.581
O4 O 0.674 0.389 0.953
O5 O 0.050 0.053 0.516
O6 O 0.956 0.401 0.676
O7 O 0.581 0.580 0.292
O8 O 0.770 0.769 0.054
O9 O 0.292 0.581 0.580
O10 O 0.953 0.674 0.389
O11 O 0.769 0.054 0.770
O12 O 0.296 0.845 0.295
O13 O 0.389 0.953 0.674
O14 O 0.295 0.296 0.845
O15 O 0.054 0.770 0.769
O16 O 0.516 0.050 0.053
O17 O 0.676 0.956 0.401
O18 O 0.845 0.295 0.296
Nb1 Nb 0.201 0.542 0.840
Nb2 Nb 0.152 0.811 0.508
Nb3 Nb 0.811 0.508 0.152
Nb4 Nb 0.508 0.152 0.811
Nb5 Nb 0.840 0.201 0.542
Nb6 Nb 0.542 0.840 0.201
```

(2)
Density functional theory data (PBE-GGA) for a relaxed structure of Nb2PbO6.

Computed properties:
Its spin magnetization is 0.0 μB/f.u. The value obtained for the volume is 133 Å³/f.u. The value obtained for the formation enthalpy at 0 K is -2733 meV/atom. The calculation puts the energy above the lowest structure with this stoichiometry at 10 kJ/mol of formula units.

CIF file:
```
data_Nb2PbO6
_cell_length_a 12.999
_cell_length_b 12.999
_cell_length_c 7.904
_cell_angle_alpha 90.00
_cell_angle_beta 90.00
_cell_angle_gamma 92.01
_space_group_name_H-M_alt 'P 1'
_space_group_IT_number 1
loop_
_space_group_symop_operation_xyz
'x,y,z'
loop_
_atom_site_label
_atom_site_type_symbol
_atom_site_fract_x
_atom_site_fract_y
_atom_site_fract_z
O1 O 0.938 0.349 0.496
O2 O 0.798 0.402 0.750
O3 O 0.017 0.985 0.250
O4 O 0.788 0.775 0.004
O5 O 0.297 0.071 0.250
O6 O 0.503 0.497 0.750
O7 O 0.938 0.349 0.004
O8 O 0.009 0.148 0.501
O9 O 0.367 0.924 0.509
O10 O 0.441 0.131 0.509
O11 O 0.708 0.908 0.750
O12 O 0.510 0.651 0.499
O13 O 0.852 0.991 0.001
O14 O 0.164 0.987 0.998
O15 O 0.505 0.340 0.002
O16 O 0.440 0.783 0.250
O17 O 0.349 0.490 0.999
O18 O 0.660 0.495 0.502
O19 O 0.576 0.844 0.503
O20 O 0.934 0.696 0.250
O21 O 0.287 0.713 0.500
O22 O 0.015 0.983 0.750
O23 O 0.788 0.775 0.496
O24 O 0.091 0.293 0.750
O25 O 0.441 0.131 0.991
O26 O 0.510 0.651 0.001
O27 O 0.009 0.148 0.999
O28 O 0.869 0.559 0.009
O29 O 0.092 0.292 0.250
O30 O 0.707 0.909 0.250
O31 O 0.349 0.490 0.501
O32 O 0.287 0.713 0.000
O33 O 0.013 0.836 0.498
O34 O 0.869 0.559 0.491
O35 O 0.722 0.278 0.500
O36 O 0.156 0.424 0.497
O37 O 0.164 0.987 0.502
O38 O 0.651 0.062 0.504
O39 O 0.156 0.424 0.003
O40 O 0.503 0.497 0.250
O41 O 0.852 0.991 0.499
O42 O 0.076 0.633 0.491
O43 O 0.442 0.783 0.750
O44 O 0.722 0.278 0.000
O45 O 0.929 0.703 0.750
O46 O 0.505 0.340 0.498
O47 O 0.217 0.560 0.750
O48 O 0.217 0.558 0.250
O49 O 0.367 0.924 0.991
O50 O 0.651 0.062 0.996
O51 O 0.225 0.212 0.504
O52 O 0.576 0.844 0.997
O53 O 0.076 0.633 0.009
O54 O 0.801 0.403 0.250
O55 O 0.598 0.202 0.250
O56 O 0.660 0.495 0.998
O57 O 0.304 0.066 0.750
O58 O 0.597 0.199 0.750
O59 O 0.013 0.836 0.002
O60 O 0.225 0.212 0.996
Pb1 Pb 0.992 0.517 0.250
Pb2 Pb 0.145 0.859 0.750
Pb3 Pb 0.623 0.720 0.750
Pb4 Pb 0.141 0.855 0.250
Pb5 Pb 0.624 0.719 0.250
Pb6 Pb 0.794 0.212 0.250
Pb7 Pb 0.281 0.376 0.750
Pb8 Pb 0.788 0.206 0.750
Pb9 Pb 0.280 0.377 0.250
Pb10 Pb 0.483 0.008 0.750
Nb1 Nb 0.565 0.215 0.004
Nb2 Nb 0.284 0.085 0.496
Nb3 Nb 0.496 0.504 0.000
Nb4 Nb 0.067 0.296 0.998
Nb5 Nb 0.704 0.933 0.498
Nb6 Nb 0.785 0.435 0.996
Nb7 Nb 0.418 0.794 0.002
Nb8 Nb 0.496 0.504 0.500
Nb9 Nb 0.996 0.004 0.000
Nb10 Nb 0.206 0.582 0.502
Nb11 Nb 0.996 0.004 0.500
Nb12 Nb 0.915 0.716 0.996
Nb13 Nb 0.067 0.296 0.502
Nb14 Nb 0.785 0.435 0.504
Nb15 Nb 0.206 0.582 0.998
Nb16 Nb 0.284 0.085 0.004
Nb17 Nb 0.565 0.215 0.496
Nb18 Nb 0.915 0.716 0.504
Nb19 Nb 0.418 0.794 0.498
Nb20 Nb 0.704 0.933 0.002
```

(3)
Density functional theory data (PBE-GGA) for a relaxed structure of Nb2PbO6.

Computed properties:
The value obtained for the volume is 130 Å³/f.u. The value obtained for the formation enthalpy at 0 K is -2745 meV/atom. The calculation puts the energy above the lowest structure with this stoichiometry at 0 kJ/mol of formula units.

CIF file:
```
data_Nb2PbO6
_cell_length_a 7.316
_cell_length_b 7.316
_cell_length_c 7.316
_cell_angle_alpha 93.60
_cell_angle_beta 93.60
_cell_angle_gamma 93.60
_space_group_name_H-M_alt 'P 1'
_space_group_IT_number 1
loop_
_space_group_symop_operation_xyz
'x,y,z'
loop_
_atom_site_label
_atom_site_type_symbol
_atom_site_fract_x
_atom_site_fract_y
_atom_site_fract_z
Pb1 Pb 0.681 0.681 0.681
Pb2 Pb 0.319 0.319 0.319
Pb3 Pb 0.000 0.000 0.000
O1 O 0.620 0.164 0.620
O2 O 0.718 0.000 0.276
O3 O 0.724 0.282 0.000
O4 O 0.380 0.836 0.380
O5 O 0.095 0.382 0.095
O6 O 0.000 0.724 0.282
O7 O 0.905 0.618 0.905
O8 O 0.620 0.620 0.164
O9 O 0.905 0.905 0.618
O10 O 0.382 0.095 0.095
O11 O 0.282 0.000 0.724
O12 O 0.164 0.620 0.620
O13 O 0.836 0.380 0.380
O14 O 0.095 0.095 0.382
O15 O 0.276 0.718 0.000
O16 O 0.380 0.380 0.836
O17 O 0.618 0.905 0.905
O18 O 0.000 0.276 0.718
Nb1 Nb 0.166 0.866 0.523
Nb2 Nb 0.477 0.834 0.134
Nb3 Nb 0.834 0.134 0.477
Nb4 Nb 0.866 0.523 0.166
Nb5 Nb 0.134 0.477 0.834
Nb6 Nb 0.523 0.166 0.866
```

(4)
Density functional theory data (PBE-GGA) for a relaxed structure of Nb2PbO6.

Computed properties:
Its spin magnetization is 0.0 μB/f.u. The value obtained for the volume is 134 Å³/f.u. The value obtained for the formation enthalpy at 0 K is -2735 meV/atom. The calculation puts the energy above the lowest structure with this stoichiometry at 8 kJ/mol of formula units.

CIF file:
```
data_Nb2PbO6
_cell_length_a 3.947
_cell_length_b 12.991
_cell_length_c 13.074
_cell_angle_alpha 87.78
_cell_angle_beta 90.00
_cell_angle_gamma 90.00
_space_group_name_H-M_alt 'P 1'
_space_group_IT_number 1
loop_
_space_group_symop_operation_xyz
'x,y,z'
loop_
_atom_site_label
_atom_site_type_symbol
_atom_site_fract_x
_atom_site_fract_y
_atom_site_fract_z
O1 O 0.000 0.339 0.494
O2 O 0.000 0.834 0.991
O3 O 0.500 0.912 0.291
O4 O 0.000 0.554 0.126
O5 O 0.000 0.715 0.709
O6 O 0.000 0.984 0.837
O7 O 0.500 0.066 0.712
O8 O 0.000 0.988 0.147
O9 O 0.500 0.558 0.783
O10 O 0.500 0.495 0.498
O11 O 0.500 0.782 0.557
O12 O 0.000 0.926 0.637
O13 O 0.000 0.650 0.485
O14 O 0.000 0.351 0.058
O15 O 0.000 0.281 0.277
O16 O 0.000 0.214 0.769
O17 O 0.000 0.626 0.922
O18 O 0.500 0.981 0.982
O19 O 0.500 0.689 0.070
O20 O 0.000 0.071 0.341
O21 O 0.500 0.204 0.403
O22 O 0.000 0.146 0.989
O23 O 0.000 0.848 0.424
O24 O 0.500 0.408 0.197
O25 O 0.000 0.775 0.212
O26 O 0.000 0.493 0.652
O27 O 0.000 0.496 0.340
O28 O 0.000 0.420 0.842
O29 O 0.500 0.288 0.907
O30 O 0.000 0.133 0.563
Pb1 Pb 0.500 0.370 0.723
Pb2 Pb 0.500 0.874 0.837
Pb3 Pb 0.500 0.718 0.380
Pb4 Pb 0.500 0.513 0.008
Pb5 Pb 0.500 0.197 0.220
Nb1 Nb 0.000 0.938 0.297
Nb2 Nb 0.000 0.586 0.785
Nb3 Nb 0.000 0.085 0.712
Nb4 Nb 0.000 0.211 0.440
Nb5 Nb 0.000 0.292 0.932
Nb6 Nb 0.000 0.804 0.576
Nb7 Nb 0.000 0.719 0.085
Nb8 Nb 0.000 0.001 0.003
Nb9 Nb 0.000 0.431 0.220
Nb10 Nb 0.000 0.503 0.505
```

(5)
Density functional theory data (PBE-GGA) for a relaxed structure of ScNbPb2O6.

Computed properties:
Its spin magnetization is 0.0 μB/f.u. The value obtained for the volume is 139 Å³/f.u. The value obtained for the formation enthalpy at 0 K is -2644 meV/atom.

CIF file:
```
data_ScNbPb2O6
_cell_length_a 5.818
_cell_length_b 5.818
_cell_length_c 5.818
_cell_angle_alpha 60.00
_cell_angle_beta 60.00
_cell_angle_gamma 60.00
_space_group_name_H-M_alt 'P 1'
_space_group_IT_number 1
loop_
_space_group_symop_operation_xyz
'x,y,z'
loop_
_atom_site_label
_atom_site_type_symbol
_atom_site_fract_x
_atom_site_fract_y
_atom_site_fract_z
O1 O 0.255 0.255 0.745
O2 O 0.745 0.745 0.255
O3 O 0.255 0.745 0.745
O4 O 0.255 0.745 0.255
O5 O 0.745 0.255 0.745
O6 O 0.745 0.255 0.255
Pb1 Pb 0.750 0.750 0.750
Pb2 Pb 0.250 0.250 0.250
Nb1 Nb 0.500 0.500 0.500
Sc1 Sc 0.000 0.000 0.000
```

(6)
Density functional theory data (PBE-GGA) for a relaxed structure of Nb2Pb2Se4O15.

Computed properties:
Its spin magnetization is 0.0 μB/f.u. The value obtained for the volume is 382 Å³/f.u. The value obtained for the formation enthalpy at 0 K is -1891 meV/atom.

CIF file:
```
data_Nb2Pb2Se4O15
_cell_length_a 13.988
_cell_length_b 13.988
_cell_length_c 7.879
_cell_angle_alpha 85.73
_cell_angle_beta 85.73
_cell_angle_gamma 29.77
_space_group_name_H-M_alt 'P 1'
_space_group_IT_number 1
loop_
_space_group_symop_operation_xyz
'x,y,z'
loop_
_atom_site_label
_atom_site_type_symbol
_atom_site_fract_x
_atom_site_fract_y
_atom_site_fract_z
Se1 Se 0.343 0.499 0.514
Se2 Se 0.501 0.657 0.986
Se3 Se 0.657 0.501 0.486
Se4 Se 0.499 0.343 0.014
Se5 Se 0.081 0.297 0.063
Se6 Se 0.919 0.703 0.937
Se7 Se 0.703 0.919 0.437
Se8 Se 0.297 0.081 0.563
O1 O 0.655 0.196 0.189
O2 O 0.952 0.482 0.187
O3 O 0.200 0.649 0.336
O4 O 0.999 0.851 0.016
O5 O 0.620 0.660 0.969
O6 O 0.845 0.858 0.787
O7 O 0.149 0.001 0.484
O8 O 0.649 0.200 0.836
O9 O 0.196 0.655 0.689
O10 O 0.351 0.800 0.164
O11 O 0.804 0.345 0.311
O12 O 0.298 0.170 0.050
O13 O 0.996 0.004 0.750
O14 O 0.518 0.048 0.313
O15 O 0.482 0.952 0.687
O16 O 0.380 0.340 0.031
O17 O 0.004 0.996 0.250
O18 O 0.660 0.620 0.469
O19 O 0.858 0.845 0.287
O20 O 0.142 0.155 0.713
O21 O 0.830 0.702 0.450
O22 O 0.001 0.149 0.984
O23 O 0.048 0.518 0.813
O24 O 0.702 0.830 0.950
O25 O 0.345 0.804 0.811
O26 O 0.155 0.142 0.213
O27 O 0.170 0.298 0.550
O28 O 0.851 0.999 0.516
O29 O 0.800 0.351 0.664
O30 O 0.340 0.380 0.531
Pb1 Pb 0.187 0.406 0.316
Pb2 Pb 0.594 0.813 0.184
Pb3 Pb 0.406 0.187 0.816
Pb4 Pb 0.813 0.594 0.684
Nb1 Nb 0.064 0.078 0.763
Nb2 Nb 0.078 0.064 0.263
Nb3 Nb 0.922 0.936 0.737
Nb4 Nb 0.936 0.922 0.237
```

(7)
Density functional theory data (PBE-GGA) for a relaxed structure of Nb2ZnPb3O9.

Computed properties:
Its spin magnetization is 0.0 μB/f.u. The value obtained for the volume is 215 Å³/f.u. The value obtained for the formation enthalpy at 0 K is -2263 meV/atom.

CIF file:
```
data_Nb2ZnPb3O9
_cell_length_a 4.191
_cell_length_b 12.524
_cell_length_c 5.818
_cell_angle_alpha 44.66
_cell_angle_beta 89.16
_cell_angle_gamma 89.23
_space_group_name_H-M_alt 'P 1'
_space_group_IT_number 1
loop_
_space_group_symop_operation_xyz
'x,y,z'
loop_
_atom_site_label
_atom_site_type_symbol
_atom_site_fract_x
_atom_site_fract_y
_atom_site_fract_z
Zn1 Zn 0.466 0.989 0.480
O1 O 0.525 0.814 0.514
O2 O 0.517 0.184 0.979
O3 O 0.529 0.177 0.506
O4 O 0.010 0.660 0.507
O5 O 0.989 0.997 0.526
O6 O 0.522 0.500 0.003
O7 O 0.531 0.820 0.026
O8 O 0.519 0.501 0.496
O9 O 0.010 0.339 0.496
Nb1 Nb 0.457 0.650 0.515
Nb2 Nb 0.455 0.336 0.493
Pb1 Pb 0.943 0.270 0.083
Pb2 Pb 0.885 0.985 0.964
Pb3 Pb 0.931 0.709 0.912
```

(8)
Density functional theory data (PBE-GGA) for a relaxed structure of NbZnPb2O6.

Computed properties:
Its spin magnetization is 1.0 μB/f.u. The value obtained for the volume is 139 Å³/f.u. The value obtained for the formation enthalpy at 0 K is -1949 meV/atom.

CIF file:
```
data_NbZnPb2O6
_cell_length_a 5.869
_cell_length_b 5.869
_cell_length_c 5.869
_cell_angle_alpha 58.87
_cell_angle_beta 58.87
_cell_angle_gamma 58.87
_space_group_name_H-M_alt 'P 1'
_space_group_IT_number 1
loop_
_space_group_symop_operation_xyz
'x,y,z'
loop_
_atom_site_label
_atom_site_type_symbol
_atom_site_fract_x
_atom_site_fract_y
_atom_site_fract_z
O1 O 0.723 0.723 0.215
O2 O 0.215 0.723 0.723
O3 O 0.234 0.699 0.234
O4 O 0.699 0.234 0.234
O5 O 0.723 0.215 0.723
O6 O 0.234 0.234 0.699
Pb1 Pb 0.756 0.756 0.756
Pb2 Pb 0.260 0.260 0.260
Nb1 Nb 0.490 0.490 0.490
Zn1 Zn 0.988 0.988 0.988
```

(9)
Density functional theory data (PBE-GGA) for a relaxed structure of PrNbO3.

Computed properties:
Its spin magnetization is 0.0 μB/f.u. The value obtained for the volume is 68 Å³/f.u. The value obtained for the formation enthalpy at 0 K is -2929 meV/atom.

CIF file:
```
data_PrNbO3
_cell_length_a 4.087
_cell_length_b 4.087
_cell_length_c 4.087
_cell_angle_alpha 90.00
_cell_angle_beta 90.00
_cell_angle_gamma 90.00
_space_group_name_H-M_alt 'P 1'
_space_group_IT_number 1
loop_
_space_group_symop_operation_xyz
'x,y,z'
loop_
_atom_site_label
_atom_site_type_symbol
_atom_site_fract_x
_atom_site_fract_y
_atom_site_fract_z
Pr1 Pr 0.000 0.000 0.000
O1 O 0.500 0.000 0.500
O2 O 0.000 0.500 0.500
O3 O 0.500 0.500 0.000
Nb1 Nb 0.500 0.500 0.500
```

(10)
Density functional theory data (PBE-GGA) for a relaxed structure of PrNb5O14.

Computed properties:
Its spin magnetization is 0.0 μB/f.u. The value obtained for the volume is 254 Å³/f.u. The value obtained for the formation enthalpy at 0 K is -3151 meV/atom.

CIF file:
```
data_PrNb5O14
_cell_length_a 6.348
_cell_length_b 7.790
_cell_length_c 20.559
_cell_angle_alpha 90.00
_cell_angle_beta 90.00
_cell_angle_gamma 90.00
_space_group_name_H-M_alt 'P 1'
_space_group_IT_number 1
loop_
_space_group_symop_operation_xyz
'x,y,z'
loop_
_atom_site_label
_atom_site_type_symbol
_atom_site_fract_x
_atom_site_fract_y
_atom_site_fract_z
O1 O 0.389 0.500 0.328
O2 O 0.086 0.500 0.884
O3 O 0.914 0.000 0.384
O4 O 0.329 0.000 0.320
O5 O 0.335 0.288 0.777
O6 O 0.500 0.000 0.000
O7 O 0.671 0.500 0.180
O8 O 0.841 0.236 0.500
O9 O 0.611 0.000 0.172
O10 O 0.389 0.500 0.672
O11 O 0.391 0.255 0.097
O12 O 0.159 0.736 0.000
O13 O 0.074 0.269 0.317
O14 O 0.665 0.788 0.723
O15 O 0.234 0.756 0.564
O16 O 0.609 0.755 0.403
O17 O 0.766 0.256 0.064
O18 O 0.926 0.231 0.183
O19 O 0.671 0.500 0.820
O20 O 0.496 0.000 0.500
O21 O 0.665 0.212 0.277
O22 O 0.391 0.255 0.903
O23 O 0.914 0.000 0.616
O24 O 0.159 0.264 0.000
O25 O 0.090 0.000 0.099
O26 O 0.665 0.212 0.723
O27 O 0.609 0.755 0.597
O28 O 0.074 0.731 0.683
O29 O 0.609 0.245 0.597
O30 O 0.335 0.712 0.223
O31 O 0.074 0.731 0.317
O32 O 0.766 0.744 0.064
O33 O 0.234 0.244 0.436
O34 O 0.086 0.500 0.116
O35 O 0.090 0.000 0.901
O36 O 0.335 0.712 0.777
O37 O 0.910 0.500 0.401
O38 O 0.665 0.788 0.277
O39 O 0.391 0.745 0.903
O40 O 0.841 0.764 0.500
O41 O 0.926 0.231 0.817
O42 O 0.504 0.500 0.000
O43 O 0.609 0.245 0.403
O44 O 0.329 0.000 0.680
O45 O 0.926 0.769 0.817
O46 O 0.766 0.256 0.936
O47 O 0.926 0.769 0.183
O48 O 0.611 0.000 0.828
O49 O 0.391 0.745 0.097
O50 O 0.074 0.269 0.683
O51 O 0.234 0.244 0.564
O52 O 0.234 0.756 0.436
O53 O 0.910 0.500 0.599
O54 O 0.335 0.288 0.223
O55 O 0.500 0.500 0.500
O56 O 0.766 0.744 0.936
Nb1 Nb 0.589 0.748 0.827
Nb2 Nb 0.949 0.252 0.593
Nb3 Nb 0.503 0.251 0.000
Nb4 Nb 0.497 0.751 0.500
Nb5 Nb 0.051 0.752 0.093
Nb6 Nb 0.051 0.248 0.907
Nb7 Nb 0.949 0.748 0.407
Nb8 Nb 0.949 0.252 0.407
Nb9 Nb 0.589 0.252 0.173
Nb10 Nb 0.497 0.249 0.500
Nb11 Nb 0.411 0.752 0.673
Nb12 Nb 0.949 0.748 0.593
Nb13 Nb 0.051 0.752 0.907
Nb14 Nb 0.411 0.752 0.327
Nb15 Nb 0.411 0.248 0.673
Nb16 Nb 0.411 0.248 0.327
Nb17 Nb 0.051 0.248 0.093
Nb18 Nb 0.589 0.748 0.173
Nb19 Nb 0.503 0.749 0.000
Nb20 Nb 0.589 0.252 0.827
Pr1 Pr 0.954 0.000 0.264
Pr2 Pr 0.954 0.000 0.736
Pr3 Pr 0.046 0.500 0.764
Pr4 Pr 0.046 0.500 0.236
```